[1]
First-principles (PBE-GGA) data for PrNiGe after structural relaxation, as listed in the Materials Project.

Structure (POSCAR):
```
PrNiGe
1.0
7.279 0.000 0.000
0.000 4.350 0.000
0.000 0.000 7.453
Pr Ni Ge
4 4 4
Direct
0.013 0.250 0.194
0.487 0.750 0.694
0.513 0.250 0.306
0.987 0.750 0.806
0.149 0.750 0.427
0.351 0.250 0.927
0.649 0.750 0.073
0.851 0.250 0.573
0.199 0.250 0.597
0.301 0.750 0.097
0.699 0.250 0.903
0.801 0.750 0.403
```

Values from the calculation:
Crystal system   orthorhombic
Total DFT energy (no corrections)   -17.2 eV/f.u.
V   236.0 Å³/cell
Energy of formation from the pure elements   -1.97 eV/f.u.

---

[2]
First-principles (PBE-GGA) data for PrNi2Ge2 after structural relaxation, as listed in the Materials Project.

Structure (POSCAR):
```
PrNi2Ge2
1.0
-2.082 2.082 4.950
2.082 -2.082 4.950
2.082 2.082 -4.950
Pr Ni Ge
1 2 2
Direct
0.000 0.000 0.000
0.250 0.750 0.500
0.750 0.250 0.500
0.367 0.367 0.000
0.633 0.633 0.000
```

Values from the calculation:
Crystal system   tetragonal
Total DFT energy (no corrections)   -29.0 eV/f.u.
V   85.8 Å³/cell
Energy of formation from the pure elements   -3.43 eV/f.u.

---

[3]
First-principles (PBE-GGA) data for Pr3Ni36Ge16 after structural relaxation, as listed in the Materials Project.

Structure (POSCAR):
```
Pr3Ni36Ge16
1.0
8.327 0.000 0.000
0.000 8.327 0.000
0.000 0.000 11.112
Pr Ni Ge
3 36 16
Direct
0.000 0.000 0.000
0.000 0.000 0.500
0.500 0.500 0.000
0.000 0.500 0.250
0.000 0.500 0.750
0.112 0.385 0.430
0.112 0.615 0.570
0.115 0.387 0.071
0.115 0.613 0.929
0.181 0.315 0.631
0.181 0.685 0.369
0.183 0.318 0.869
0.183 0.682 0.131
0.315 0.181 0.369
0.315 0.819 0.631
0.318 0.183 0.131
0.318 0.817 0.869
0.385 0.112 0.570
0.385 0.888 0.430
0.387 0.115 0.929
0.387 0.885 0.071
0.500 0.000 0.250
0.500 0.000 0.750
0.613 0.115 0.071
0.613 0.885 0.929
0.615 0.112 0.430
0.615 0.888 0.570
0.682 0.183 0.869
0.682 0.817 0.131
0.685 0.181 0.631
0.685 0.819 0.369
0.817 0.318 0.131
0.817 0.682 0.869
0.819 0.315 0.369
0.819 0.685 0.631
0.885 0.387 0.929
0.885 0.613 0.071
0.888 0.385 0.570
0.888 0.615 0.430
0.056 0.218 0.249
0.056 0.782 0.751
0.218 0.056 0.751
0.218 0.944 0.249
0.284 0.445 0.255
0.284 0.555 0.745
0.445 0.284 0.745
0.445 0.716 0.255
0.555 0.284 0.255
0.555 0.716 0.745
0.716 0.445 0.745
0.716 0.555 0.255
0.782 0.056 0.249
0.782 0.944 0.751
0.944 0.218 0.751
0.944 0.782 0.249
```

Values from the calculation:
Crystal system   tetragonal
Total DFT energy (no corrections)   -302.9 eV/f.u.
V   770.5 Å³/cell
Energy of formation from the pure elements   -6.50 eV/f.u.

---

[4]
First-principles (PBE-GGA) data for PrNiGe2 after structural relaxation, as listed in the Materials Project.

Structure (POSCAR):
```
PrNiGe2
1.0
2.132 -8.371 0.000
2.132 8.371 0.000
0.000 0.000 4.246
Pr Ni Ge
2 2 4
Direct
0.108 0.892 0.750
0.892 0.108 0.250
0.318 0.682 0.750
0.682 0.318 0.250
0.251 0.749 0.250
0.458 0.542 0.750
0.542 0.458 0.250
0.749 0.251 0.750
```

Values from the calculation:
Crystal system   orthorhombic
Total DFT energy (no corrections)   -22.8 eV/f.u.
V   151.5 Å³/cell
Energy of formation from the pure elements   -2.98 eV/f.u.

---

[5]
First-principles (PBE-GGA) data for Ni4GePt5 after structural relaxation, as listed in the Materials Project.

Structure (POSCAR):
```
Ni4GePt5
1.0
2.777 0.000 0.000
0.000 2.777 0.000
0.000 0.000 17.863
Ni Ge Pt
4 1 5
Direct
0.000 0.000 0.100
0.000 0.000 0.297
0.000 0.000 0.703
0.000 0.000 0.900
0.000 0.000 0.500
0.500 0.500 0.000
0.500 0.500 0.200
0.500 0.500 0.399
0.500 0.500 0.601
0.500 0.500 0.800
```

Values from the calculation:
Crystal system   tetragonal
Total DFT energy (no corrections)   -58.8 eV/f.u.
V   137.8 Å³/cell
Energy of formation from the pure elements   -0.69 eV/f.u.

---

[6]
First-principles (PBE-GGA) data for NiGePt2 after structural relaxation, as listed in the Materials Project.

Structure (POSCAR):
```
NiGePt2
1.0
0.000 3.886 3.956
3.711 0.000 3.956
3.711 3.886 0.000
Ni Ge Pt
2 2 4
Direct
0.201 0.799 0.201
0.799 0.201 0.799
0.233 0.233 0.767
0.767 0.767 0.233
0.250 0.250 0.250
0.302 0.698 0.698
0.698 0.302 0.302
0.750 0.750 0.750
```

Values from the calculation:
Crystal system   orthorhombic
Total DFT energy (no corrections)   -23.9 eV/f.u.
V   114.1 Å³/cell
Energy of formation from the pure elements   -1.33 eV/f.u.